Entry 1:
# K3Er7S12

K3Er7S12 after structural relaxation (r2SCAN, Materials Project).

Computed properties:
Calculated formation energy ... -49.75 eV/f.u.
SG ... No. 31

Cell: 3.938 11.850 24.524 Å, 90.00 90.00 90.00°
Element x y z (fractional)
K 0.500 0.549 0.131
K 0.500 0.943 0.861
K 0.000 0.057 0.361
K 0.000 0.451 0.631
K 0.500 0.810 0.472
K 0.000 0.190 0.972
Er 0.500 0.313 0.820
Er 0.500 0.192 0.179
Er 0.000 0.808 0.679
Er 0.000 0.687 0.320
Er 0.000 0.245 0.499
Er 0.500 0.755 0.999
Er 0.500 0.478 0.422
Er 0.500 0.020 0.581
Er 0.000 0.980 0.081
Er 0.000 0.522 0.922
Er 0.500 0.645 0.789
Er 0.500 0.854 0.211
Er 0.000 0.146 0.711
Er 0.000 0.355 0.289
S 0.500 0.519 0.308
S 0.500 0.980 0.693
S 0.000 0.020 0.193
S 0.000 0.481 0.808
S 0.500 0.657 0.679
S 0.500 0.841 0.323
S 0.000 0.159 0.823
S 0.000 0.343 0.179
S 0.500 0.395 0.522
S 0.500 0.089 0.477
S 0.000 0.911 0.977
S 0.000 0.605 0.022
S 0.500 0.367 0.926
S 0.500 0.134 0.073
S 0.000 0.866 0.573
S 0.000 0.633 0.426
S 0.500 0.295 0.712
S 0.500 0.206 0.287
S 0.000 0.794 0.787
S 0.000 0.705 0.212
S 0.500 0.671 0.898
S 0.500 0.830 0.102
S 0.000 0.170 0.602
S 0.000 0.329 0.398

=====

Entry 2:
# KErTe2

KErTe2 after structural relaxation (r2SCAN, Materials Project).

Computed properties:
Calculated formation energy ... -6.54 eV/f.u.
SG ... No. 166

Cell: 8.556 8.556 8.556 Å, 30.18 30.18 30.18°
Element x y z (fractional)
K 0.500 0.500 0.500
Er 0.000 0.000 0.000
Te 0.264 0.264 0.264
Te 0.736 0.736 0.736

=====

E_tot, record by record: -18.259, -24.329 eV/atom
Spin magnetization, record by record: 0.000, 0.000 μB per atom